# 1
Below is a relaxed V3O5F crystal, with properties calculated at the GGA+U level.

Output
polymorph energy (0 for the lowest one)	0.0173	eV/atom
space group	P2/m, No. 10
formation energy from the elements	-2.588	eV per atom

Cell: 2.970 4.668 13.982 Å, 87.47 90.00 90.00°
Element x y z (fractional)
V 0.000 0.000 0.000
V 0.000 0.021 0.343
V 0.000 0.979 0.657
V 0.500 0.473 0.159
V 0.500 0.500 0.500
V 0.500 0.527 0.841
O 0.500 0.799 0.600
O 0.500 0.802 0.935
O 0.000 0.696 0.102
O 0.000 0.708 0.765
O 0.000 0.708 0.430
O 0.000 0.292 0.235
O 0.000 0.292 0.570
O 0.000 0.304 0.898
O 0.500 0.198 0.065
O 0.500 0.201 0.400
F 0.500 0.807 0.268
F 0.500 0.193 0.732

# 2
Below is a relaxed MnSi2O6 crystal, with properties calculated at the GGA+U level.

Output
spin magnetization	3.0	μB per formula unit
polymorph energy (0 for the lowest one)	0.1004	eV/atom
space group	Pbca, No. 61
formation energy from the elements	-2.570	eV per atom

Cell: 5.072 10.360 19.295 Å, 90.00 90.00 90.00°
Element x y z (fractional)
Mn 0.439 0.550 0.374
Mn 0.561 0.450 0.626
Mn 0.939 0.450 0.126
Mn 0.061 0.550 0.874
Mn 0.439 0.050 0.126
Mn 0.561 0.950 0.874
Mn 0.939 0.950 0.374
Mn 0.061 0.050 0.626
Si 0.625 0.165 0.276
Si 0.775 0.333 0.974
Si 0.725 0.333 0.474
Si 0.875 0.665 0.724
Si 0.125 0.835 0.224
Si 0.375 0.335 0.776
Si 0.275 0.167 0.974
Si 0.775 0.833 0.526
Si 0.725 0.833 0.026
Si 0.875 0.165 0.776
Si 0.375 0.835 0.724
Si 0.625 0.665 0.224
Si 0.225 0.667 0.026
Si 0.125 0.335 0.276
Si 0.225 0.167 0.474
Si 0.275 0.667 0.526
O 0.796 0.037 0.821
O 0.338 0.540 0.572
O 0.204 0.963 0.179
O 0.780 0.862 0.442
O 0.280 0.638 0.442
O 0.977 0.715 0.544
O 0.875 0.132 0.693
O 0.125 0.368 0.193
O 0.780 0.362 0.058
O 0.875 0.632 0.807
O 0.296 0.963 0.679
O 0.720 0.862 0.942
O 0.662 0.460 0.428
O 0.375 0.368 0.693
O 0.704 0.537 0.179
O 0.338 0.040 0.928
O 0.296 0.463 0.821
O 0.170 0.218 0.794
O 0.330 0.218 0.294
O 0.523 0.215 0.456
O 0.720 0.362 0.558
O 0.625 0.132 0.193
O 0.838 0.960 0.572
O 0.170 0.718 0.706
O 0.220 0.638 0.942
O 0.625 0.632 0.307
O 0.662 0.960 0.072
O 0.280 0.138 0.058
O 0.162 0.040 0.428
O 0.670 0.282 0.794
O 0.204 0.463 0.321
O 0.830 0.282 0.294
O 0.830 0.782 0.206
O 0.838 0.460 0.928
O 0.220 0.138 0.558
O 0.162 0.540 0.072
O 0.330 0.718 0.206
O 0.023 0.285 0.456
O 0.477 0.285 0.956
O 0.670 0.782 0.706
O 0.477 0.785 0.544
O 0.523 0.715 0.044
O 0.023 0.785 0.044
O 0.375 0.868 0.807
O 0.704 0.037 0.321
O 0.977 0.215 0.956
O 0.125 0.868 0.307
O 0.796 0.537 0.679